# K2RbPrV2O8 | Materials Project | PBE with a Hubbard U | optimized geometry
# calculated volume = 18.71 A^3/atom
# energy of formation from the pure elements = -2.685 eV/atom
# uncorrected energy = -6.745 eV/atom
# theoretical density = 3.4 Mg/m³
data_K2RbPrV2O8
_cell_length_a 6.1800
_cell_length_b 6.1800
_cell_length_c 7.9189
_cell_angle_alpha 90.00
_cell_angle_beta 90.00
_cell_angle_gamma 120.00
_space_group_name_H-M_alt 'P -3 m 1'
_space_group_IT_number 164
_space_group_name_Hall '-P 3 2"'
loop_
_atom_site_label
_atom_site_type_symbol
_atom_site_fract_x
_atom_site_fract_y
_atom_site_fract_z
K1 K 0.3333 0.6667 0.2069
Rb1 Rb 0.0000 0.0000 0.5000
Pr1 Pr 0.0000 0.0000 0.0000
V1 V 0.3333 0.6667 0.7449
O1 O 0.1783 0.3566 0.8218
O2 O 0.3333 0.6667 0.5324

***

# Ba5Mn3O12F | Materials Project | PBE with a Hubbard U | optimized geometry
# calculated volume = 17.74 A^3/atom
# energy of formation from the pure elements = -2.555 eV/atom
# uncorrected energy = -6.586 eV/atom
# relative energy among the computed polymorphs = 0.434 eV/f.u.
# theoretical density = 4.7 Mg/m³
data_Ba5Mn3O12F
_cell_length_a 10.5162
_cell_length_b 10.5162
_cell_length_c 7.7806
_cell_angle_alpha 90.00
_cell_angle_beta 90.00
_cell_angle_gamma 120.00
_space_group_name_H-M_alt 'P 63/m'
_space_group_IT_number 176
_space_group_name_Hall '-P 6c'
loop_
_atom_site_label
_atom_site_type_symbol
_atom_site_fract_x
_atom_site_fract_y
_atom_site_fract_z
Ba1 Ba 0.0096 0.2421 0.2500
Ba2 Ba 0.3333 0.6667 0.5012
Mn1 Mn 0.0317 0.4039 0.7500
O1 O 0.0939 0.3513 0.5750
O2 O 0.1191 0.5925 0.7500
O3 O 0.1563 0.6785 0.2500
F1 F 0.0000 0.0000 0.0000

***

# CoH32C8S4N2O10 | Materials Project | PBE with a Hubbard U | optimized geometry
# calculated volume = 11.11 A^3/atom
# energy of formation from the pure elements = -0.338 eV/atom
# uncorrected energy = -4.964 eV/atom
# relative energy among the computed polymorphs = 16.910 eV/f.u.
# theoretical density = 1.3 Mg/m³
data_CoH32C8S4N2O10
_cell_length_a 10.530
_cell_length_b 11.487
_cell_length_c 12.531
_cell_angle_alpha 90.00
_cell_angle_beta 123.31
_cell_angle_gamma 90.00
_space_group_name_H-M_alt 'P 1 21/c 1'
_space_group_IT_number 14
_space_group_name_Hall '-P 2ybc'
loop_
_atom_site_label
_atom_site_type_symbol
_atom_site_fract_x
_atom_site_fract_y
_atom_site_fract_z
Co1 Co 0.000 0.000 0.000
H1 H 0.013 0.084 0.822
H2 H 0.017 0.708 0.337
H3 H 0.135 0.120 0.601
H4 H 0.170 0.003 0.526
H5 H 0.193 0.521 0.177
H6 H 0.198 0.610 0.363
H7 H 0.255 0.673 0.920
H8 H 0.330 0.237 0.586
H9 H 0.338 0.216 0.782
H10 H 0.357 0.113 0.515
H11 H 0.395 0.080 0.867
H12 H 0.415 0.003 0.226
H13 H 0.435 0.570 0.128
H14 H 0.439 0.588 0.273
H15 H 0.468 0.664 0.642
H16 H 0.482 0.676 0.842
C1 C 0.204 0.043 0.617
C2 C 0.396 0.157 0.606
C3 C 0.412 0.140 0.808
C4 C 0.465 0.529 0.218
S1 S 0.077 0.681 0.735
S2 S 0.172 0.632 0.568
N1 N 0.368 0.078 0.686
O1 O 0.044 0.237 0.735
O2 O 0.086 0.221 0.987
O3 O 0.143 0.114 0.040
O4 O 0.189 0.606 0.867
O5 O 0.250 0.680 0.363

***

# GeWO4 | Materials Project | PBE with a Hubbard U | optimized geometry
# calculated volume = 16.93 A^3/atom
# energy of formation from the pure elements = -1.867 eV/atom
# uncorrected energy = -6.898 eV/atom
# relative energy among the computed polymorphs = 0.526 eV/f.u.
# theoretical density = 5.2 Mg/m³
data_GeWO4
_cell_length_a 7.407
_cell_length_b 7.407
_cell_length_c 7.407
_cell_angle_alpha 90.00
_cell_angle_beta 90.00
_cell_angle_gamma 90.00
_space_group_name_H-M_alt 'P 21 3'
_space_group_IT_number 198
_space_group_name_Hall 'P 2ac 2ab 3'
loop_
_atom_site_label
_atom_site_type_symbol
_atom_site_fract_x
_atom_site_fract_y
_atom_site_fract_z
Ge1 Ge 0.181 0.319 0.681
W1 W 0.164 0.164 0.164
O1 O 0.056 0.639 0.227
O2 O 0.198 0.698 0.802

***

# Ba2Y2MgFe4O10 | Materials Project | PBE with a Hubbard U | optimized geometry
# calculated volume = 15.14 A^3/atom
# energy of formation from the pure elements = -2.463 eV/atom
# uncorrected energy = -6.981 eV/atom
# relative energy among the computed polymorphs = 0.000 eV/f.u.
# theoretical density = 5.0 Mg/m³
data_Ba2Y2MgFe4O10
_cell_length_a 4.049
_cell_length_b 7.650
_cell_length_c 9.631
_cell_angle_alpha 80.30
_cell_angle_beta 78.22
_cell_angle_gamma 89.75
_space_group_name_H-M_alt 'P 1'
_space_group_IT_number 1
_space_group_name_Hall 'P 1'
loop_
_atom_site_label
_atom_site_type_symbol
_atom_site_fract_x
_atom_site_fract_y
_atom_site_fract_z
Ba1 Ba 0.000 0.000 0.000
Ba2 Ba 0.024 0.506 0.977
Y1 Y 0.216 0.077 0.584
Y2 Y 0.216 0.571 0.591
Mg1 Mg 0.385 0.177 0.241
Fe1 Fe 0.619 0.276 0.784
Fe2 Fe 0.619 0.799 0.783
Fe3 Fe 0.821 0.386 0.371
Fe4 Fe 0.823 0.883 0.368
O1 O 0.136 0.288 0.744
O2 O 0.153 0.799 0.711
O3 O 0.303 0.338 0.407
O4 O 0.315 0.930 0.385
O5 O 0.490 0.246 0.023
O6 O 0.509 0.768 0.993
O7 O 0.646 0.546 0.735
O8 O 0.673 0.067 0.672
O9 O 0.791 0.622 0.433
O10 O 0.872 0.163 0.268

***

# Li5Mn3CuP4O16 | Materials Project | PBE with a Hubbard U | optimized geometry
# calculated volume = 11.13 A^3/atom
# energy of formation from the pure elements = -2.501 eV/atom
# uncorrected energy = -6.844 eV/atom
# theoretical density = 3.3 Mg/m³
data_Li5Mn3CuP4O16
_cell_length_a 4.872
_cell_length_b 6.268
_cell_length_c 10.578
_cell_angle_alpha 92.38
_cell_angle_beta 91.09
_cell_angle_gamma 90.25
_space_group_name_H-M_alt 'P 1'
_space_group_IT_number 1
_space_group_name_Hall 'P 1'
loop_
_atom_site_label
_atom_site_type_symbol
_atom_site_fract_x
_atom_site_fract_y
_atom_site_fract_z
Li1 Li 0.000 0.000 0.000
Li2 Li 0.008 0.477 0.009
Li3 Li 0.386 0.040 0.664
Li4 Li 0.541 0.467 0.517
Li5 Li 0.620 0.961 0.405
Mn1 Mn 0.070 0.719 0.298
Mn2 Mn 0.492 0.711 0.809
Mn3 Mn 0.543 0.252 0.224
Cu1 Cu 0.909 0.254 0.729
P1 P 0.123 0.234 0.423
P2 P 0.426 0.230 0.927
P3 P 0.612 0.737 0.118
P4 P 0.913 0.746 0.614
O1 O 0.227 0.750 0.628
O2 O 0.231 0.249 0.561
O3 O 0.246 0.030 0.354
O4 O 0.258 0.427 0.355
O5 O 0.289 0.222 0.061
O6 O 0.297 0.723 0.118
O7 O 0.301 0.430 0.865
O8 O 0.319 0.027 0.850
O9 O 0.725 0.933 0.202
O10 O 0.735 0.748 0.983
O11 O 0.741 0.239 0.940
O12 O 0.750 0.540 0.180
O13 O 0.775 0.944 0.680
O14 O 0.777 0.549 0.677
O15 O 0.806 0.237 0.410
O16 O 0.818 0.729 0.471

***

# Li9Mn2Co5O16 | Materials Project | PBE with a Hubbard U | optimized geometry
# calculated volume = 9.11 A^3/atom
# energy of formation from the pure elements = -1.793 eV/atom
# uncorrected energy = -5.784 eV/atom
# relative energy among the computed polymorphs = 2.264 eV/f.u.
# theoretical density = 4.1 Mg/m³
data_Li9Mn2Co5O16
_cell_length_a 5.201
_cell_length_b 2.902
_cell_length_c 19.426
_cell_angle_alpha 90.00
_cell_angle_beta 95.83
_cell_angle_gamma 90.00
_space_group_name_H-M_alt 'P 1 m 1'
_space_group_IT_number 6
_space_group_name_Hall 'P -2y'
loop_
_atom_site_label
_atom_site_type_symbol
_atom_site_fract_x
_atom_site_fract_y
_atom_site_fract_z
Li1 Li 0.000 0.000 0.000
Li2 Li 0.009 0.500 0.495
Li3 Li 0.131 0.500 0.870
Li4 Li 0.249 0.000 0.739
Li5 Li 0.393 0.500 0.617
Li6 Li 0.502 0.000 0.496
Li7 Li 0.620 0.500 0.378
Li8 Li 0.762 0.000 0.247
Li9 Li 0.879 0.500 0.117
Mn1 Mn 0.260 0.500 0.247
Mn2 Mn 0.630 0.000 0.871
Co1 Co 0.104 0.000 0.380
Co2 Co 0.384 0.000 0.117
Co3 Co 0.503 0.500 0.998
Co4 Co 0.753 0.500 0.741
Co5 Co 0.913 0.000 0.611
O1 O 0.041 0.500 0.681
O2 O 0.094 0.000 0.190
O3 O 0.186 0.000 0.563
O4 O 0.197 0.500 0.061
O5 O 0.303 0.500 0.427
O6 O 0.351 0.000 0.930
O7 O 0.429 0.000 0.300
O8 O 0.465 0.500 0.816
O9 O 0.537 0.500 0.183
O10 O 0.580 0.000 0.691
O11 O 0.681 0.000 0.060
O12 O 0.715 0.500 0.565
O13 O 0.801 0.500 0.926
O14 O 0.828 0.000 0.427
O15 O 0.908 0.000 0.809
O16 O 0.988 0.500 0.307

***

# Li9Mn2Co5O16 | Materials Project | PBE with a Hubbard U | optimized geometry
# calculated volume = 9.07 A^3/atom
# energy of formation from the pure elements = -1.794 eV/atom
# uncorrected energy = -5.784 eV/atom
# relative energy among the computed polymorphs = 2.250 eV/f.u.
# theoretical density = 4.1 Mg/m³
data_Li9Mn2Co5O16
_cell_length_a 5.921
_cell_length_b 2.871
_cell_length_c 17.072
_cell_angle_alpha 90.00
_cell_angle_beta 90.27
_cell_angle_gamma 90.00
_space_group_name_H-M_alt 'P 1 m 1'
_space_group_IT_number 6
_space_group_name_Hall 'P -2y'
loop_
_atom_site_label
_atom_site_type_symbol
_atom_site_fract_x
_atom_site_fract_y
_atom_site_fract_z
Li1 Li 0.000 0.000 0.000
Li2 Li 0.001 0.000 0.497
Li3 Li 0.244 0.500 0.136
Li4 Li 0.249 0.500 0.378
Li5 Li 0.252 0.500 0.623
Li6 Li 0.492 0.000 0.261
Li7 Li 0.497 0.000 0.749
Li8 Li 0.746 0.500 0.869
Li9 Li 0.747 0.500 0.382
Mn1 Mn 0.492 0.000 0.001
Mn2 Mn 0.752 0.500 0.131
Co1 Co 0.010 0.000 0.269
Co2 Co 0.246 0.500 0.872
Co3 Co 0.490 0.000 0.490
Co4 Co 0.738 0.500 0.625
Co5 Co 0.996 0.000 0.748
O1 O 0.008 0.000 0.876
O2 O 0.229 0.500 0.252
O3 O 0.232 0.500 0.754
O4 O 0.267 0.500 0.002
O5 O 0.275 0.500 0.502
O6 O 0.485 0.000 0.876
O7 O 0.500 0.000 0.384
O8 O 0.509 0.000 0.628
O9 O 0.529 0.000 0.132
O10 O 0.718 0.500 0.506
O11 O 0.722 0.500 0.012
O12 O 0.763 0.500 0.749
O13 O 0.772 0.500 0.242
O14 O 0.971 0.000 0.123
O15 O 0.983 0.000 0.628
O16 O 0.992 0.000 0.372

***

# Mn2FeP3O12 | Materials Project | PBE with a Hubbard U | optimized geometry
# calculated volume = 11.97 A^3/atom
# energy of formation from the pure elements = -2.394 eV/atom
# uncorrected energy = -7.315 eV/atom
# relative energy among the computed polymorphs = 0.000 eV/f.u.
# theoretical density = 3.5 Mg/m³
data_Mn2FeP3O12
_cell_length_a 10.942
_cell_length_b 5.972
_cell_length_c 13.900
_cell_angle_alpha 90.00
_cell_angle_beta 108.45
_cell_angle_gamma 90.00
_space_group_name_H-M_alt 'P 1 m 1'
_space_group_IT_number 6
_space_group_name_Hall 'P -2y'
loop_
_atom_site_label
_atom_site_type_symbol
_atom_site_fract_x
_atom_site_fract_y
_atom_site_fract_z
Mn1 Mn 0.000 0.000 0.000
Mn2 Mn 0.010 0.500 0.577
Mn3 Mn 0.117 0.500 0.188
Mn4 Mn 0.345 0.500 0.912
Mn5 Mn 0.455 0.500 0.521
Mn6 Mn 0.667 0.000 0.666
Mn7 Mn 0.677 0.500 0.244
Mn8 Mn 0.787 0.500 0.856
Fe1 Fe 0.210 0.000 0.718
Fe2 Fe 0.335 0.000 0.341
Fe3 Fe 0.545 0.000 0.052
Fe4 Fe 0.877 0.000 0.383
P1 P 0.030 0.000 0.221
P2 P 0.073 0.500 0.953
P3 P 0.270 0.000 0.961
P4 P 0.309 0.500 0.688
P5 P 0.365 0.000 0.554
P6 P 0.406 0.500 0.286
P7 P 0.604 0.000 0.295
P8 P 0.643 0.500 0.023
P9 P 0.699 0.000 0.887
P10 P 0.740 0.500 0.620
P11 P 0.936 0.000 0.628
P12 P 0.975 0.500 0.356
O1 O 0.028 0.203 0.148
O2 O 0.036 0.200 0.655
O3 O 0.094 0.500 0.320
O4 O 0.151 0.000 0.314
O5 O 0.159 0.500 0.065
O6 O 0.163 0.500 0.887
O7 O 0.184 0.000 0.029
O8 O 0.188 0.000 0.850
O9 O 0.188 0.500 0.592
O10 O 0.246 0.000 0.589
O11 O 0.311 0.295 0.759
O12 O 0.314 0.294 0.262
O13 O 0.362 0.200 0.480
O14 O 0.369 0.200 0.988
O15 O 0.427 0.500 0.650
O16 O 0.486 0.000 0.648
O17 O 0.495 0.500 0.398
O18 O 0.496 0.500 0.219
O19 O 0.521 0.000 0.365
O20 O 0.522 0.000 0.184
O21 O 0.523 0.500 0.927
O22 O 0.581 0.000 0.923
O23 O 0.644 0.295 0.093
O24 O 0.644 0.298 0.593
O25 O 0.697 0.203 0.815
O26 O 0.704 0.201 0.321
O27 O 0.762 0.500 0.986
O28 O 0.820 0.000 0.981
O29 O 0.826 0.500 0.731
O30 O 0.829 0.500 0.553
O31 O 0.850 0.000 0.696
O32 O 0.854 0.000 0.517
O33 O 0.856 0.500 0.260
O34 O 0.909 0.000 0.254
O35 O 0.976 0.295 0.427
O36 O 0.979 0.297 0.926